## Na5Bi2AsC4O16 (PBE)

Data for crystalline Na5Bi2AsC4O16 at its relaxed geometry.

```
data_Na5Bi2AsC4O16
_symmetry_space_group_name_H-M 'C 1 2/c 1'
_symmetry_Int_Tables_number 15
_cell_length_a 14.7062
_cell_length_b 15.0247
_cell_length_c 10.3429
_cell_angle_alpha 90.00
_cell_angle_beta 134.43
_cell_angle_gamma 90.00
loop_
_symmetry_equiv_pos_as_xyz
'x,y,z'
'-x,-y,-z'
'-x,y,-z+1/2'
'x,-y,z+1/2'
'x+1/2,y+1/2,z'
'-x+1/2,-y+1/2,-z'
'-x+1/2,y+1/2,-z+1/2'
'x+1/2,-y+1/2,z+1/2'
loop_
_atom_site_label
_atom_site_fract_x
_atom_site_fract_y
_atom_site_fract_z
Na1 0.0000 0.0681 0.2500
Na2 0.2005 0.1254 0.1417
Na3 0.2006 0.1256 0.7591
Bi1 0.0000 0.5000 0.0000
Bi2 0.2500 0.2500 0.5000
As1 0.0000 0.1261 0.7500
C1 0.0015 0.2794 0.0619
C2 0.1958 0.4682 0.4450
O1 0.0006 0.0578 0.6140
O2 0.0565 0.3465 0.0632
O3 0.0705 0.2173 0.1856
O4 0.1227 0.2721 0.5606
O5 0.1392 0.4751 0.8150
O6 0.1398 0.1851 0.8902
O7 0.1886 0.4749 0.5634
O8 0.2361 0.0961 0.5377
```

Properties
- magnetic moment (μB per atom) = 0.000
- relative energy among the computed polymorphs (meV per atom) = 1
- calculated formation energy (eV per atom) = -1.863
- volume (Å³/f.u.) = 408
- total DFT energy (no corrections) (eV per cell) = -705.25

---

## Ba2SrTi3O9 (PBE)

Data for crystalline Ba2SrTi3O9 at its relaxed geometry.

```
data_Ba2SrTi3O9
_symmetry_space_group_name_H-M 'C m m 2'
_symmetry_Int_Tables_number 35
_cell_length_a 5.6444
_cell_length_b 16.9095
_cell_length_c 4.0980
_cell_angle_alpha 90.00
_cell_angle_beta 90.00
_cell_angle_gamma 90.00
loop_
_symmetry_equiv_pos_as_xyz
'x,y,z'
'-x,-y,z'
'-x,y,z'
'x,-y,z'
'x+1/2,y+1/2,z'
'-x+1/2,-y+1/2,z'
'-x+1/2,y+1/2,z'
'x+1/2,-y+1/2,z'
loop_
_atom_site_label
_atom_site_fract_x
_atom_site_fract_y
_atom_site_fract_z
Ba1 0.0000 0.1670 0.0000
Sr1 0.0000 0.5000 0.0098
Ti1 0.0000 0.0000 0.5193
Ti2 0.0000 0.3353 0.5188
O1 0.0000 0.0000 0.9694
O2 0.0000 0.3374 0.9695
O3 0.2470 0.4183 0.4780
O4 0.2500 0.2500 0.4832
```

Properties
- magnetic moment (μB per atom) = 0.000
- calculated formation energy (eV per atom) = -3.505
- volume (Å³/f.u.) = 196
- total DFT energy (no corrections) (eV per cell) = -240.27

---

## SrRuO3 (PBE)

Data for crystalline SrRuO3 at its relaxed geometry.

```
data_SrRuO3
_symmetry_space_group_name_H-M 'I 4/m c m'
_symmetry_Int_Tables_number 140
_symmetry_space_group_name_Hall '-I 4 2c'
_cell_length_a 5.5771
_cell_length_b 5.5771
_cell_length_c 8.0872
_cell_angle_alpha 90.00
_cell_angle_beta 90.00
_cell_angle_gamma 90.00
loop_
_atom_site_label
_atom_site_fract_x
_atom_site_fract_y
_atom_site_fract_z
Sr1 0.0000 0.5000 0.2500
Ru1 0.0000 0.0000 0.0000
O1 0.0000 0.0000 0.2500
O2 0.2008 0.2992 0.0000
```

Properties
- calculated formation energy (eV per atom) = -2.181
- volume (Å³/f.u.) = 63
- total DFT energy (no corrections) (eV per cell) = -138.60

---

## GdSi2Pt2 (PBE)

Data for crystalline GdSi2Pt2 at its relaxed geometry.

```
data_GdSi2Pt2
_symmetry_space_group_name_H-M 'C m m e'
_symmetry_Int_Tables_number 67
_symmetry_space_group_name_Hall '-C 2a 2'
_cell_length_a 5.9678
_cell_length_b 5.9835
_cell_length_c 9.8871
_cell_angle_alpha 90.00
_cell_angle_beta 90.00
_cell_angle_gamma 90.00
loop_
_atom_site_label
_atom_site_fract_x
_atom_site_fract_y
_atom_site_fract_z
Gd1 0.0000 0.2500 0.2438
Si1 0.0000 0.2500 0.6325
Si2 0.2500 0.0000 0.0000
Pt1 0.0000 0.2500 0.8759
Pt2 0.2500 0.0000 0.5000
```

Properties
- calculated formation energy (eV per atom) = -1.095
- volume (Å³/f.u.) = 88
- total DFT energy (no corrections) (eV per cell) = -170.18

---

## La2I2O (PBE)

Data for crystalline La2I2O at its relaxed geometry.

```
data_La2I2O
_symmetry_space_group_name_H-M 'P 4/m m m'
_symmetry_Int_Tables_number 123
_symmetry_space_group_name_Hall '-P 4 2'
_cell_length_a 4.5280
_cell_length_b 4.5280
_cell_length_c 15.1411
_cell_angle_alpha 90.00
_cell_angle_beta 90.00
_cell_angle_gamma 90.00
loop_
_atom_site_label
_atom_site_fract_x
_atom_site_fract_y
_atom_site_fract_z
La1 0.0000 0.0000 0.1392
I1 0.0000 0.0000 0.3361
O1 0.0000 0.0000 0.0000
```

Properties
- magnetic moment (μB per atom) = 0.094
- calculated formation energy (eV per atom) = -1.274
- volume (Å³/f.u.) = 310
- total DFT energy (no corrections) (eV per cell) = -23.55

---

## RbScCl3 (PBE)

Data for crystalline RbScCl3 at its relaxed geometry.

```
data_RbScCl3
_symmetry_space_group_name_H-M 'P 63/m m c'
_symmetry_Int_Tables_number 194
_symmetry_space_group_name_Hall '-P 6c 2c'
_cell_length_a 7.4683
_cell_length_b 7.4683
_cell_length_c 5.9629
_cell_angle_alpha 90.00
_cell_angle_beta 90.00
_cell_angle_gamma 120.00
loop_
_atom_site_label
_atom_site_fract_x
_atom_site_fract_y
_atom_site_fract_z
Rb1 0.3333 0.6667 0.2500
Sc1 0.0000 0.0000 0.0000
Cl1 0.1641 0.3282 0.7500
```

Properties
- calculated formation energy (eV per atom) = -2.303
- volume (Å³/f.u.) = 144
- total DFT energy (no corrections) (eV per cell) = -45.06

---

## HfSb3 (PBE)

Data for crystalline HfSb3 at its relaxed geometry.

```
data_HfSb3
_symmetry_space_group_name_H-M 'P 63/m m c'
_symmetry_Int_Tables_number 194
_symmetry_space_group_name_Hall '-P 6c 2c'
_cell_length_a 6.4979
_cell_length_b 6.4979
_cell_length_c 5.5245
_cell_angle_alpha 90.00
_cell_angle_beta 90.00
_cell_angle_gamma 120.00
loop_
_atom_site_label
_atom_site_fract_x
_atom_site_fract_y
_atom_site_fract_z
Hf1 0.3333 0.6667 0.2500
Sb1 0.1774 0.3548 0.7500
```

Properties
- magnetic moment (μB per atom) = 0.000
- calculated formation energy (eV per atom) = -0.065
- volume (Å³/f.u.) = 101
- total DFT energy (no corrections) (eV per cell) = -44.06

---

## YWN3 (PBE)

Data for crystalline YWN3 at its relaxed geometry.

```
data_YWN3
_symmetry_space_group_name_H-M 'P m c 21'
_symmetry_Int_Tables_number 26
_cell_length_a 3.5948
_cell_length_b 6.0145
_cell_length_c 6.1357
_cell_angle_alpha 90.00
_cell_angle_beta 90.00
_cell_angle_gamma 90.00
loop_
_symmetry_equiv_pos_as_xyz
'x,y,z'
'-x,-y,z+1/2'
'-x,y,z'
'x,-y,z+1/2'
loop_
_atom_site_label
_atom_site_fract_x
_atom_site_fract_y
_atom_site_fract_z
Y1 0.0000 0.1528 0.0000
W1 0.5000 0.3092 0.5300
N1 0.0000 0.2280 0.6283
N2 0.5000 0.1067 0.2970
N3 0.5000 0.4148 0.9065
```

Properties
- magnetic moment (μB per atom) = 0.000
- calculated formation energy (eV per atom) = -1.169
- volume (Å³/f.u.) = 66
- total DFT energy (no corrections) (eV per cell) = -98.39

---

## NaBO7 (PBE)

Data for crystalline NaBO7 at its relaxed geometry.

```
data_NaBO7
_symmetry_space_group_name_H-M 'P -1'
_symmetry_Int_Tables_number 2
_cell_length_a 6.7063
_cell_length_b 7.1410
_cell_length_c 7.4850
_cell_angle_alpha 101.18
_cell_angle_beta 107.34
_cell_angle_gamma 115.49
loop_
_symmetry_equiv_pos_as_xyz
'x,y,z'
'-x,-y,-z'
loop_
_atom_site_label
_atom_site_fract_x
_atom_site_fract_y
_atom_site_fract_z
Na1 0.0000 0.0000 0.0000
Na2 0.0000 0.0000 0.5000
B1 0.4148 0.4118 0.2818
O1 0.1710 0.6552 0.3799
O2 0.1882 0.8234 0.3483
O3 0.2436 0.7033 0.9732
O4 0.2698 0.7926 0.8495
O5 0.2888 0.2814 0.3784
O6 0.3222 0.3168 0.0863
O7 0.3740 0.3716 0.6083
```

Properties
- magnetic moment (μB per atom) = 0.444
- relative energy among the computed polymorphs (meV per atom) = 0
- calculated formation energy (eV per atom) = -0.914
- volume (Å³/f.u.) = 143
- total DFT energy (no corrections) (eV per cell) = -99.47

---

## Ce4Sn25Pd12 (PBE)

Data for crystalline Ce4Sn25Pd12 at its relaxed geometry.

```
data_Ce4Sn25Pd12
_symmetry_space_group_name_H-M 'I m -3'
_symmetry_Int_Tables_number 204
_symmetry_space_group_name_Hall '-I 2 2 3'
_cell_length_a 12.3969
_cell_length_b 12.3969
_cell_length_c 12.3969
_cell_angle_alpha 90.00
_cell_angle_beta 90.00
_cell_angle_gamma 90.00
loop_
_atom_site_label
_atom_site_fract_x
_atom_site_fract_y
_atom_site_fract_z
Ce1 0.2500 0.2500 0.2500
Sn1 0.0000 0.0000 0.0000
Sn2 0.0000 0.2505 0.1235
Sn3 0.0000 0.3729 0.3783
Pd1 0.0000 0.1672 0.3195
```

Properties
- magnetic moment (μB per atom) = 0.061
- calculated formation energy (eV per atom) = -0.487
- volume (Å³/f.u.) = 953
- total DFT energy (no corrections) (eV per cell) = -412.22

---

## MgSb3O7 (PBE)

Data for crystalline MgSb3O7 at its relaxed geometry.

```
data_MgSb3O7
_symmetry_space_group_name_H-M 'P n m a'
_symmetry_Int_Tables_number 62
_cell_length_a 10.5605
_cell_length_b 10.5301
_cell_length_c 5.4529
_cell_angle_alpha 90.00
_cell_angle_beta 90.00
_cell_angle_gamma 90.00
loop_
_symmetry_equiv_pos_as_xyz
'x,y,z'
'-x,-y,-z'
'-x+1/2,-y,z+1/2'
'x+1/2,y,-z+1/2'
'x+1/2,-y+1/2,-z+1/2'
'-x+1/2,y+1/2,z+1/2'
'-x,y+1/2,-z'
'x,-y+1/2,z'
loop_
_atom_site_label
_atom_site_fract_x
_atom_site_fract_y
_atom_site_fract_z
Mg1 0.1476 0.2500 0.1900
Sb1 0.1258 0.0128 0.6598
Sb2 0.1451 0.7500 0.2098
O1 0.0345 0.2500 0.8479
O2 0.0446 0.0911 0.3502
O3 0.2127 0.6319 0.4742
O4 0.2167 0.6233 0.9808
```

Properties
- magnetic moment (μB per atom) = 0.000
- calculated formation energy (eV per atom) = -1.880
- volume (Å³/f.u.) = 152
- total DFT energy (no corrections) (eV per cell) = -257.97

---

## Li2HfO3 (PBE)

Data for crystalline Li2HfO3 at its relaxed geometry.

```
data_Li2HfO3
_symmetry_space_group_name_H-M 'C 1 2/m 1'
_symmetry_Int_Tables_number 12
_cell_length_a 9.6187
_cell_length_b 4.1804
_cell_length_c 3.1623
_cell_angle_alpha 90.00
_cell_angle_beta 102.05
_cell_angle_gamma 90.00
loop_
_symmetry_equiv_pos_as_xyz
'x,y,z'
'-x,-y,-z'
'-x,y,-z'
'x,-y,z'
'x+1/2,y+1/2,z'
'-x+1/2,-y+1/2,-z'
'-x+1/2,y+1/2,-z'
'x+1/2,-y+1/2,z'
loop_
_atom_site_label
_atom_site_fract_x
_atom_site_fract_y
_atom_site_fract_z
Li1 0.1643 0.0000 0.0991
Hf1 0.0000 0.5000 0.5000
O1 0.0000 0.0000 0.5000
O2 0.1464 0.5000 0.0949
```

Properties
- calculated formation energy (eV per atom) = -3.159
- volume (Å³/f.u.) = 62
- total DFT energy (no corrections) (eV per cell) = -91.03

---

## Al7FeCu2 (PBE)

Data for crystalline Al7FeCu2 at its relaxed geometry.

```
data_Al7FeCu2
_symmetry_space_group_name_H-M 'P 4/m n c'
_symmetry_Int_Tables_number 128
_symmetry_space_group_name_Hall '-P 4 2n'
_cell_length_a 6.3198
_cell_length_b 6.3198
_cell_length_c 14.7690
_cell_angle_alpha 90.00
_cell_angle_beta 90.00
_cell_angle_gamma 90.00
loop_
_atom_site_label
_atom_site_fract_x
_atom_site_fract_y
_atom_site_fract_z
Al1 0.0000 0.0000 0.1337
Al2 0.0855 0.2939 0.3994
Al3 0.1621 0.6621 0.2500
Fe1 0.0000 0.0000 0.2994
Cu1 0.0849 0.7269 0.0000
```

Properties
- calculated formation energy (eV per atom) = -0.260
- volume (Å³/f.u.) = 147
- total DFT energy (no corrections) (eV per cell) = -181.93

---

## Li2ZnCl4 (PBE)

Data for crystalline Li2ZnCl4 at its relaxed geometry.

```
data_Li2ZnCl4
_symmetry_space_group_name_H-M 'P n m a'
_symmetry_Int_Tables_number 62
_cell_length_a 12.9098
_cell_length_b 7.4869
_cell_length_c 6.1477
_cell_angle_alpha 90.00
_cell_angle_beta 90.00
_cell_angle_gamma 90.00
loop_
_symmetry_equiv_pos_as_xyz
'x,y,z'
'-x,-y,-z'
'-x+1/2,-y,z+1/2'
'x+1/2,y,-z+1/2'
'x+1/2,-y+1/2,-z+1/2'
'-x+1/2,y+1/2,z+1/2'
'-x,y+1/2,-z'
'x,-y+1/2,z'
loop_
_atom_site_label
_atom_site_fract_x
_atom_site_fract_y
_atom_site_fract_z
Li1 0.0000 0.0000 0.0000
Li2 0.2304 0.2500 0.4959
Zn1 0.0891 0.7500 0.4179
Cl1 0.0726 0.2500 0.7463
Cl2 0.0894 0.7500 0.7852
Cl3 0.1656 0.5084 0.2517
```

Properties
- relative energy among the computed polymorphs (meV per atom) = 0
- calculated formation energy (eV per atom) = -1.876
- volume (Å³/f.u.) = 149
- total DFT energy (no corrections) (eV per cell) = -92.58

---

## SrH4N2 (PBE)

Data for crystalline SrH4N2 at its relaxed geometry.

```
data_SrH4N2
_symmetry_space_group_name_H-M 'I 41/a m d'
_symmetry_Int_Tables_number 141
_cell_length_a 5.5131
_cell_length_b 5.5131
_cell_length_c 11.0090
_cell_angle_alpha 90.00
_cell_angle_beta 90.00
_cell_angle_gamma 90.00
loop_
_symmetry_equiv_pos_as_xyz
'x,y,z'
'-x,-y,-z'
'-y+1/4,x+3/4,z+1/4'
'y+1/4,-x+3/4,-z+1/4'
'-x+1/2,-y,z+1/2'
'x+1/2,y,-z+1/2'
'y+1/4,-x+1/4,z+3/4'
'-y+1/4,x+1/4,-z+3/4'
'x,-y,-z'
'-x,y,z'
'-y+1/4,-x+1/4,-z+3/4'
'y+1/4,x+1/4,z+3/4'
'-x+1/2,y,-z+1/2'
'x+1/2,-y,z+1/2'
'y+1/4,x+3/4,-z+1/4'
'-y+1/4,-x+3/4,z+1/4'
'x+1/2,y+1/2,z+1/2'
'-x+1/2,-y+1/2,-z+1/2'
'-y+3/4,x+1/4,z+3/4'
'y+3/4,-x+1/4,-z+3/4'
'-x,-y+1/2,z'
'x,y+1/2,-z'
'y+3/4,-x+3/4,z+1/4'
'-y+3/4,x+3/4,-z+1/4'
'x+1/2,-y+1/2,-z+1/2'
'-x+1/2,y+1/2,z+1/2'
'-y+3/4,-x+3/4,-z+1/4'
'y+3/4,x+3/4,z+1/4'
'-x,y+1/2,-z'
'x,-y+1/2,z'
'y+3/4,x+1/4,-z+3/4'
'-y+3/4,-x+1/4,z+3/4'
loop_
_atom_site_label
_atom_site_fract_x
_atom_site_fract_y
_atom_site_fract_z
Sr1 0.0000 0.2500 0.3750
H1 0.0000 0.1034 0.0764
N1 0.0000 0.2500 0.1347
```

Properties
- calculated formation energy (eV per atom) = -0.676
- volume (Å³/f.u.) = 84
- total DFT energy (no corrections) (eV per cell) = -143.77